GdP5O14: relaxed, GGA-PBE.

The crystal system is monoclinic. The formation energy is -2815 meV per atom. For the corrected total energy (MP2020 scheme), the calculation gives -166.7 eV per formula unit.

Cell and atoms, written as CIF:
```
data_GdP5O14
_cell_length_a 8.8568
_cell_length_b 9.0642
_cell_length_c 13.0633
_cell_angle_alpha 90.00
_cell_angle_beta 90.41
_cell_angle_gamma 90.00
_space_group_name_H-M_alt 'P 1 21/c 1'
_space_group_IT_number 14
loop_
_space_group_symop_operation_xyz
'x,y,z'
'-x,-y,-z'
'-x,y+1/2,-z+1/2'
'x,-y+1/2,z+1/2'
loop_
_atom_site_label
_atom_site_type_symbol
_atom_site_fract_x
_atom_site_fract_y
_atom_site_fract_z
_atom_site_occupancy
Gd1 Gd 0.2228 0.1883 0.0012 1
P1 P 0.0069 0.5047 0.7014 1
P2 P 0.1838 0.7449 0.5001 1
P3 P 0.2557 0.5461 0.1650 1
P4 P 0.2711 0.5499 0.8360 1
P5 P 0.4945 0.0025 0.8279 1
O1 O 0.0295 0.6891 0.9956 1
O2 O 0.0859 0.1171 0.8533 1
O3 O 0.0883 0.1161 0.1479 1
O4 O 0.0939 0.5738 0.2109 1
O5 O 0.1250 0.5960 0.7728 1
O6 O 0.2111 0.5831 0.4997 1
O7 O 0.2678 0.0965 0.3852 1
O8 O 0.2772 0.0947 0.6101 1
O9 O 0.2779 0.6902 0.0989 1
O10 O 0.2907 0.6858 0.9103 1
O11 O 0.3688 0.5801 0.2555 1
O12 O 0.4063 0.5821 0.7614 1
O13 O 0.4163 0.1156 0.1208 1
O14 O 0.4201 0.1227 0.8868 1
```


YAl3Si15N24: relaxed, GGA-PBE.

The crystal system is triclinic. The formation energy is -1346 meV per atom. For the corrected total energy (MP2020 scheme), the calculation gives -357.1 eV per formula unit.

Cell and atoms, written as CIF:
```
data_YAl3Si15N24
_cell_length_a 7.8766
_cell_length_b 7.9046
_cell_length_c 17.1944
_cell_angle_alpha 90.20
_cell_angle_beta 90.11
_cell_angle_gamma 119.83
_space_group_name_H-M_alt 'P 1'
_space_group_IT_number 1
loop_
_space_group_symop_operation_xyz
'x,y,z'
loop_
_atom_site_label
_atom_site_type_symbol
_atom_site_fract_x
_atom_site_fract_y
_atom_site_fract_z
_atom_site_occupancy
Y1 Y 0.0000 0.0000 0.0000 1
Y2 Y 0.0014 0.0027 0.6622 1
Al1 Al 0.1791 0.4262 0.0118 1
Al2 Al 0.1811 0.4286 0.6758 1
Al3 Al 0.7386 0.8328 0.8409 1
Al4 Al 0.8331 0.5818 0.4084 1
Al5 Al 0.8336 0.5753 0.0789 1
Al6 Al 0.8379 0.5792 0.7422 1
Si1 Si 0.0966 0.2427 0.1777 1
Si2 Si 0.0984 0.2536 0.5037 1
Si3 Si 0.1013 0.2524 0.8418 1
Si4 Si 0.1502 0.8918 0.1783 1
Si5 Si 0.1587 0.8971 0.8426 1
Si6 Si 0.1596 0.8966 0.5047 1
Si7 Si 0.1805 0.4141 0.3400 1
Si8 Si 0.2349 0.8161 0.3392 1
Si9 Si 0.2437 0.8168 0.0088 1
Si10 Si 0.2480 0.8205 0.6727 1
Si11 Si 0.4131 0.2416 0.0800 1
Si12 Si 0.4139 0.2408 0.4097 1
Si13 Si 0.4193 0.2502 0.7450 1
Si14 Si 0.4977 0.4113 0.9150 1
Si15 Si 0.4992 0.4146 0.5767 1
Si16 Si 0.5025 0.4172 0.2454 1
Si17 Si 0.5766 0.7572 0.0107 1
Si18 Si 0.5812 0.0813 0.2462 1
Si19 Si 0.5811 0.7616 0.6726 1
Si20 Si 0.5833 0.7616 0.3403 1
Si21 Si 0.5892 0.0850 0.9117 1
Si22 Si 0.5916 0.0894 0.5763 1
Si23 Si 0.7401 0.8395 0.5032 1
Si24 Si 0.7442 0.1553 0.0824 1
Si25 Si 0.7440 0.1559 0.7480 1
Si26 Si 0.7473 0.8435 0.1770 1
Si27 Si 0.7503 0.1615 0.4096 1
Si28 Si 0.9252 0.5026 0.9096 1
Si29 Si 0.9261 0.4996 0.2444 1
Si30 Si 0.9286 0.5033 0.5739 1
N1 N 0.0003 0.2597 0.0860 1
N2 N 0.0000 0.9966 0.5270 1
N3 N 0.0025 0.2571 0.7503 1
N4 N 0.0016 0.6611 0.6560 1
N5 N 0.0109 0.2812 0.4143 1
N6 N 0.0128 0.0039 0.8663 1
N7 N 0.0490 0.3664 0.5804 1
N8 N 0.0497 0.3703 0.9152 1
N9 N 0.0556 0.3698 0.2505 1
N10 N 0.2563 0.9828 0.0825 1
N11 N 0.2589 0.9883 0.7476 1
N12 N 0.2719 0.9838 0.4154 1
N13 N 0.3257 0.9483 0.2510 1
N14 N 0.3296 0.9489 0.9202 1
N15 N 0.3306 0.9535 0.5847 1
N16 N 0.3333 0.6640 0.3567 1
N17 N 0.3383 0.3114 0.9957 1
N18 N 0.3424 0.6793 0.0353 1
N19 N 0.3471 0.3225 0.4951 1
N20 N 0.3471 0.6824 0.6988 1
N21 N 0.3483 0.3230 0.6607 1
N22 N 0.3482 0.3249 0.1632 1
N23 N 0.3540 0.3332 0.8291 1
N24 N 0.3549 0.3371 0.3291 1
N25 N 0.6161 0.6649 0.9247 1
N26 N 0.6188 0.6765 0.5820 1
N27 N 0.6202 0.6737 0.2498 1
N28 N 0.6553 0.3119 0.0778 1
N29 N 0.6580 0.0150 0.8295 1
N30 N 0.6581 0.3163 0.4108 1
N31 N 0.6603 0.3171 0.7436 1
N32 N 0.6611 0.0103 0.3282 1
N33 N 0.6637 0.0106 0.1650 1
N34 N 0.6708 0.3335 0.2439 1
N35 N 0.6719 0.3356 0.9126 1
N36 N 0.6742 0.0201 0.4957 1
N37 N 0.6741 0.3395 0.5776 1
N38 N 0.6800 0.0132 0.9944 1
N39 N 0.6811 0.0173 0.6588 1
N40 N 0.7072 0.7278 0.4157 1
N41 N 0.7263 0.7436 0.0826 1
N42 N 0.7348 0.7464 0.7398 1
N43 N 0.9933 0.6472 0.1643 1
N44 N 0.9934 0.6474 0.3245 1
N45 N 0.9930 0.6537 0.8306 1
N46 N 0.9937 0.6542 0.4963 1
N47 N 0.9955 0.6615 0.9911 1
N48 N 0.9992 0.9933 0.1938 1
```


Sr2LaCu2HgO6: relaxed, GGA-PBE.

The crystal system is tetragonal. The formation energy is -2166 meV per atom. For the corrected total energy (MP2020 scheme), the calculation gives -72.5 eV per formula unit.

Cell and atoms, written as CIF:
```
data_Sr2LaCu2HgO6
_cell_length_a 3.9498
_cell_length_b 3.9498
_cell_length_c 12.5027
_cell_angle_alpha 90.00
_cell_angle_beta 90.00
_cell_angle_gamma 90.00
_space_group_name_H-M_alt 'P 4/m m m'
_space_group_IT_number 123
_space_group_name_Hall '-P 4 2'
loop_
_atom_site_label
_atom_site_type_symbol
_atom_site_fract_x
_atom_site_fract_y
_atom_site_fract_z
_atom_site_occupancy
Sr1 Sr 0.0000 0.0000 0.2225 1
La1 La 0.0000 0.0000 0.5000 1
Cu1 Cu 0.5000 0.5000 0.3622 1
Hg1 Hg 0.5000 0.5000 0.0000 1
O1 O 0.0000 0.5000 0.3684 1
O2 O 0.5000 0.5000 0.1658 1
```


NdIO9: relaxed, GGA-PBE.

The crystal system is monoclinic. The formation energy is -910 meV per atom. For the corrected total energy (MP2020 scheme), the calculation gives -60.8 eV per formula unit.

Cell and atoms, written as CIF:
```
data_NdIO9
_cell_length_a 9.0295
_cell_length_b 10.6878
_cell_length_c 11.1455
_cell_angle_alpha 90.00
_cell_angle_beta 125.95
_cell_angle_gamma 90.00
_space_group_name_H-M_alt 'P 1 21/c 1'
_space_group_IT_number 14
loop_
_space_group_symop_operation_xyz
'x,y,z'
'-x,-y,-z'
'-x,y+1/2,-z+1/2'
'x,-y+1/2,z+1/2'
loop_
_atom_site_label
_atom_site_type_symbol
_atom_site_fract_x
_atom_site_fract_y
_atom_site_fract_z
_atom_site_occupancy
Nd1 Nd 0.0923 0.1476 0.1274 1
I1 I 0.0349 0.6441 0.7317 1
O1 O 0.0321 0.7461 0.1032 1
O2 O 0.0940 0.0320 0.9388 1
O3 O 0.1536 0.7425 0.3878 1
O4 O 0.1662 0.1538 0.7649 1
O5 O 0.2119 0.5218 0.8220 1
O6 O 0.4276 0.2423 0.1151 1
O7 O 0.4423 0.2088 0.5225 1
O8 O 0.4681 0.5132 0.2260 1
O9 O 0.4909 0.5554 0.6696 1
```